(1)
First-principles (PBE-GGA) data for an optimized crystal structure of RbReCl4, as listed in Materials Project.

formation enthalpy at 0 K = -147 kJ per mole of atoms
energy = -4.58 eV per atom

POSCAR file:
```
RbReCl4
1.0
1.559 4.906 7.794
-9.018 -2.417 -0.292
2.635 -10.571 6.126
Cl Re Rb
24 6 6
Cartesian
-0.695 -3.534 8.354 Cl
-2.002 -7.499 3.806 Cl
-6.272 -7.106 3.994 Cl
2.753 -3.563 11.791 Cl
1.501 -2.026 5.474 Cl
-2.822 -0.583 9.823 Cl
-7.577 -4.518 1.838 Cl
-5.157 -0.426 2.886 Cl
-6.325 -6.056 8.155 Cl
1.448 -0.975 9.635 Cl
-5.902 -1.741 5.910 Cl
-1.332 -10.185 5.363 Cl
-5.122 -11.722 6.669 Cl
-2.748 -2.793 2.737 Cl
0.298 3.640 6.961 Cl
-5.656 -8.742 9.712 Cl
-2.076 -5.289 10.892 Cl
-3.492 2.103 8.266 Cl
1.079 -6.341 7.719 Cl
-2.812 -1.219 5.480 Cl
0.333 -7.656 10.743 Cl
-4.129 -4.548 5.276 Cl
0.832 0.661 3.917 Cl
-2.011 -6.862 8.149 Cl
-0.193 -5.603 9.539 Re
1.038 -3.526 10.073 Re
-6.382 -2.466 2.345 Re
-4.631 -2.478 4.090 Re
-5.862 -4.556 3.556 Re
1.559 -5.616 11.284 Re
-0.519 -4.672 4.911 Rb
-4.374 -8.498 6.343 Rb
-0.450 0.416 7.287 Rb
-5.622 1.876 5.655 Rb
-1.837 0.613 1.848 Rb
-4.304 -3.409 8.718 Rb
```

---

(2)
First-principles (PBE-GGA) data for an optimized crystal structure of K4Ru2Cl10O, as listed in Materials Project.

formation enthalpy at 0 K = -129 kJ per mole of atoms
total magnetization = 0.01 Bohr magnetons per cell
energy = -4.03 eV per atom

POSCAR file:
```
K4Ru2Cl10O
1.0
9.435 -3.506 0.785
5.531 2.829 7.959
-9.220 -3.740 -1.715
Cl K O Ru
10 4 1 2
Cartesian
0.888 -1.967 2.221 Cl
6.838 -1.961 1.458 Cl
4.743 1.438 5.307 Cl
10.223 -2.115 3.437 Cl
3.578 -0.162 2.090 Cl
-2.498 -1.814 0.243 Cl
8.244 -2.603 6.786 Cl
4.858 -2.450 4.808 Cl
11.388 -0.515 6.653 Cl
8.128 1.284 7.285 Cl
1.897 -0.625 5.308 K
0.108 -3.623 -0.465 K
3.849 -3.793 1.721 K
-1.845 -0.456 3.122 K
0.000 0.000 0.000 O
1.562 -0.071 0.913 Ru
13.404 -0.606 7.831 Ru
```

---

(3)
First-principles (PBE-GGA) data for an optimized crystal structure of MgSO3, as listed in Materials Project.

formation enthalpy at 0 K = -218 kJ per mole of atoms
total magnetization = 0.00 Bohr magnetons per cell
energy = -5.97 eV per atom

POSCAR file:
```
MgSO3
1.0
-5.177 -6.855 -1.755
3.206 -2.715 1.147
-1.928 -0.136 6.216
O S Mg
12 4 4
Cartesian
-4.880 -6.345 0.462 O
-1.108 -4.868 4.819 O
-5.294 -6.944 3.376 O
1.396 -2.762 2.232 O
-1.649 -3.346 2.380 O
-2.249 -6.360 3.228 O
-4.457 -4.577 4.040 O
-1.525 -1.973 5.857 O
0.981 -3.361 5.146 O
-2.373 -7.732 -0.249 O
0.559 -5.129 1.568 O
-2.791 -4.837 0.790 O
-1.799 -3.646 0.873 S
-0.937 -1.296 4.600 S
-2.962 -8.410 1.008 S
-2.099 -6.060 4.736 S
0.109 -4.029 3.344 Mg
-4.007 -5.676 2.264 Mg
-0.590 -3.746 6.542 Mg
-3.309 -5.960 -0.934 Mg
```

---

(4)
First-principles (PBE-GGA) data for an optimized crystal structure of MgNb4S12, as listed in Materials Project.

offset from the most stable computed form = 0.008 eV/atom
formation enthalpy at 0 K = -107 kJ per mole of atoms
total magnetization = 0.00 Bohr magnetons per cell
energy = -6.15 eV per atom

POSCAR file:
```
MgNb4S12
1.0
-0.807 3.503 -3.468
0.598 -4.701 -4.903
-9.310 -1.779 0.757
S Nb Mg
12 4 1
Cartesian
-5.397 -1.217 -5.247 S
-4.121 -1.735 -2.454 S
-2.224 0.837 -2.158 S
-1.799 -0.034 -6.107 S
-7.273 -3.778 -5.534 S
-3.987 -3.973 -4.756 S
-7.428 -3.068 -1.310 S
-5.501 1.081 -2.893 S
-7.816 -1.355 -3.014 S
-2.671 2.558 -3.868 S
-6.901 -5.453 -3.894 S
-1.713 -1.480 -4.692 S
-5.990 -3.065 -3.393 Nb
-3.380 -2.008 -6.495 Nb
-6.123 -0.912 -1.179 Nb
-3.569 0.140 -4.279 Nb
-9.613 0.437 -2.428 Mg
```